Record 1
## ZnO2 (GGA-PBE)

Data for an optimized crystal structure of ZnO2.

The structure in POSCAR format:
```
ZnO2
1.0
-3.025 0.203 3.922
3.920 -0.158 3.031
0.249 4.951 -0.064
Zn O
4 8
direct
0.000 0.500 0.500
0.500 0.500 0.000
0.500 0.000 0.500
0.000 0.000 0.000
0.413 0.087 0.913
0.087 0.913 0.413
0.913 0.413 0.087
0.587 0.587 0.587
0.413 0.413 0.413
0.087 0.587 0.913
0.913 0.087 0.587
0.587 0.913 0.087
```

Summary:
DFT formation energy, eV/atom: -1.06
Spin magnetization, μB per formula unit: 0.00
Space-group type: Pa-3 (205)
Raw total energy, eV/cell: -53.604

---

Record 2
## ZnO (GGA-PBE)

Data for an optimized crystal structure of ZnO.

The structure in POSCAR format:
```
ZnO
1.0
-5.033 9.341 -0.800
-9.756 -3.524 -3.473
-2.659 -0.227 9.089
Zn O
40 40
direct
0.769 0.855 0.408
0.794 0.322 0.799
0.609 0.637 0.258
0.294 0.048 0.645
0.299 0.673 0.189
0.787 0.486 0.567
0.991 0.926 0.580
0.290 0.165 0.375
0.044 0.199 0.586
0.044 0.649 0.406
0.818 0.559 0.982
0.545 0.500 0.970
0.249 0.855 0.385
0.017 0.476 0.694
0.276 0.404 0.305
0.495 0.903 0.346
0.111 0.234 0.110
0.220 0.299 0.786
0.226 0.567 0.910
0.603 0.851 0.043
0.519 0.696 0.536
0.011 0.136 0.867
0.806 0.999 0.960
0.405 0.750 0.870
0.341 0.514 0.616
0.927 0.716 0.090
0.333 0.016 0.931
0.831 0.747 0.766
0.206 0.795 0.695
0.749 0.196 0.503
0.999 0.902 0.251
0.663 0.949 0.670
0.581 0.398 0.426
0.373 0.276 0.025
0.784 0.297 0.120
0.046 0.495 0.098
0.539 0.237 0.760
0.129 0.889 0.003
0.980 0.368 0.361
0.581 0.137 0.236
0.673 0.367 0.639
0.628 0.120 0.629
0.423 0.875 0.016
0.604 0.843 0.510
0.814 0.032 0.394
0.991 0.310 0.780
0.180 0.835 0.197
0.482 0.355 0.905
0.845 0.573 0.767
0.146 0.742 0.876
0.228 0.215 0.586
0.676 0.267 0.290
0.399 0.431 0.441
0.723 0.421 0.977
0.946 0.359 0.157
0.071 0.039 0.690
0.424 0.645 0.692
0.651 0.558 0.431
0.430 0.728 0.331
0.136 0.777 0.511
0.330 0.902 0.745
0.334 0.995 0.428
0.935 0.891 0.053
0.141 0.073 0.005
0.380 0.606 0.004
0.968 0.517 0.497
0.828 0.168 0.946
0.406 0.217 0.215
0.911 0.755 0.300
0.156 0.283 0.303
0.170 0.559 0.246
0.896 0.282 0.501
0.191 0.371 0.998
0.957 0.024 0.403
0.198 0.480 0.731
0.621 0.959 0.219
0.844 0.851 0.612
0.707 0.887 0.869
0.657 0.668 0.072
0.362 0.164 0.841
```

Summary:
DFT formation energy, eV/atom: -1.40
Spin magnetization, μB per formula unit: 0.00
Space-group type: P1 (1)
Raw total energy, eV/cell: -341.912

---

Record 3
## ZnO2 (GGA-PBE)

Data for an optimized crystal structure of ZnO2.

The structure in POSCAR format:
```
ZnO2
1.0
-1.688 3.683 10.273
1.688 -3.683 10.273
1.688 3.683 -10.273
Zn O
6 12
direct
0.179 0.413 0.766
0.821 0.587 0.234
0.353 0.587 0.766
0.647 0.413 0.234
0.766 0.266 0.500
0.234 0.734 0.500
0.032 0.325 0.707
0.968 0.675 0.293
0.383 0.675 0.707
0.617 0.325 0.293
0.289 0.946 0.343
0.711 0.054 0.657
0.397 0.054 0.343
0.603 0.946 0.657
0.720 0.720 0.000
0.280 0.280 0.000
0.968 0.468 0.500
0.032 0.532 0.500
```

Summary:
DFT formation energy, eV/atom: -0.38
Spin magnetization, μB per formula unit: 1.50
Space-group type: Immm (71)
Raw total energy, eV/cell: -71.891

---

Record 4
## ZnO (GGA-PBE)

Data for an optimized crystal structure of ZnO.

The structure in POSCAR format:
```
ZnO
1.0
10.086 0.029 0.276
0.025 10.781 0.139
0.277 0.131 9.988
Zn O
40 40
direct
0.528 0.584 0.820
0.687 0.483 0.093
0.599 0.350 0.601
0.232 0.082 0.433
0.499 0.137 0.148
0.448 0.878 0.557
0.459 0.406 0.322
0.152 0.561 0.201
0.084 0.518 0.537
0.764 0.190 0.782
0.600 0.692 0.337
0.354 0.577 0.569
0.168 0.308 0.303
0.389 0.813 0.085
0.001 0.637 0.968
0.285 0.769 0.377
0.382 0.119 0.770
0.187 0.412 0.855
0.404 0.547 0.091
0.991 0.094 0.197
0.036 0.178 0.809
0.724 0.970 0.120
0.955 0.335 0.029
0.027 0.747 0.638
0.252 0.807 0.844
0.704 0.743 0.975
0.076 0.854 0.082
0.826 0.493 0.802
0.525 0.888 0.845
0.925 0.212 0.519
0.870 0.455 0.331
0.761 0.846 0.635
0.271 0.305 0.597
0.548 0.273 0.933
0.730 0.237 0.280
0.780 0.966 0.406
0.884 0.761 0.297
0.766 0.558 0.551
0.525 0.106 0.473
0.226 0.112 0.043
0.805 0.597 0.973
0.377 0.925 0.744
0.242 0.918 0.017
0.874 0.326 0.852
0.775 0.343 0.484
0.342 0.938 0.403
0.042 0.170 0.013
0.365 0.143 0.572
0.682 0.141 0.066
0.670 0.781 0.785
0.928 0.577 0.651
0.438 0.411 0.515
0.628 0.972 0.548
0.220 0.474 0.673
0.304 0.415 0.208
0.122 0.233 0.490
0.700 0.849 0.281
0.180 0.685 0.520
0.470 0.707 0.494
0.651 0.503 0.702
0.179 0.133 0.242
0.535 0.218 0.313
0.393 0.676 0.917
0.917 0.937 0.142
0.303 0.691 0.203
0.017 0.695 0.162
0.220 0.239 0.797
0.092 0.476 0.007
0.539 0.446 0.971
0.781 0.614 0.371
0.575 0.867 0.033
0.818 0.371 0.171
0.069 0.760 0.831
0.580 0.216 0.747
0.555 0.550 0.224
0.863 0.123 0.353
0.905 0.838 0.505
0.911 0.111 0.691
0.060 0.462 0.353
0.410 0.141 0.982
```

Summary:
DFT formation energy, eV/atom: -1.55
Spin magnetization, μB per formula unit: 0.00
Space-group type: P1 (1)
Raw total energy, eV/cell: -344.512

---

- Which of these has the highest DFT formation energy?
  number 3